Record 1
The following is a PBE with a Hubbard U calculation of crystalline MgMnAsO5 at its relaxed geometry, from the Materials Project.

Properties
SG: P2_12_12_1
DFT formation energy: -2136 meV/atom

Lattice parameters (Å, degrees): 6.0669 8.0439 8.6178 90.00 90.00 90.00
Fractional positions:
Mg  0.0981  0.1587  0.3166
Mg  0.4019  0.8413  0.8166
Mg  0.5981  0.3413  0.6834
Mg  0.9019  0.6587  0.1834
Mn  0.2404  0.7515  0.4964
Mn  0.2596  0.2485  0.9964
Mn  0.7404  0.7485  0.5036
Mn  0.7596  0.2515  0.0036
As  0.0259  0.0982  0.6735
As  0.4741  0.9018  0.1735
As  0.5259  0.4018  0.3265
As  0.9741  0.5982  0.8265
O  0.0073  0.1464  0.0933
O  0.0146  0.4092  0.9209
O  0.0910  0.2389  0.5348
O  0.2139  0.6499  0.7300
O  0.2403  0.0705  0.8046
O  0.2597  0.9295  0.3046
O  0.2861  0.3501  0.2300
O  0.4090  0.7611  0.0348
O  0.4854  0.5908  0.4209
O  0.4927  0.8536  0.5933
O  0.5073  0.3536  0.9067
O  0.5146  0.0908  0.0791
O  0.5910  0.2611  0.4652
O  0.7139  0.8501  0.2700
O  0.7403  0.4295  0.1954
O  0.7597  0.5705  0.6954
O  0.7861  0.1499  0.7700
O  0.9090  0.7389  0.9652
O  0.9854  0.9092  0.5791
O  0.9927  0.6464  0.4067


Record 2
The following is a PBE with a Hubbard U calculation of crystalline MgMoAsO5 at its relaxed geometry, from the Materials Project.

Properties
SG: P2_12_12_1
DFT formation energy: -2051 meV/atom

Lattice parameters (Å, degrees): 6.6258 8.1334 8.6567 90.00 90.00 90.00
Fractional positions:
Mg  0.1290  0.1626  0.3232
Mg  0.3710  0.8374  0.8232
Mg  0.6290  0.3374  0.6768
Mg  0.8710  0.6626  0.1768
Mo  0.2347  0.7523  0.4955
Mo  0.2653  0.2477  0.9955
Mo  0.7347  0.7477  0.5045
Mo  0.7653  0.2523  0.0045
As  0.0264  0.0920  0.6760
As  0.4736  0.9080  0.1761
As  0.5264  0.4080  0.3240
As  0.9736  0.5920  0.8240
O  0.0133  0.1534  0.1190
O  0.0139  0.4070  0.9215
O  0.0933  0.2288  0.5384
O  0.1939  0.6497  0.7339
O  0.2116  0.0596  0.8138
O  0.2884  0.9404  0.3138
O  0.3061  0.3503  0.2339
O  0.4067  0.7712  0.0384
O  0.4861  0.5930  0.4215
O  0.4867  0.8466  0.6190
O  0.5133  0.3466  0.8810
O  0.5139  0.0930  0.0785
O  0.5933  0.2712  0.4616
O  0.6939  0.8503  0.2661
O  0.7116  0.4404  0.1862
O  0.7884  0.5596  0.6862
O  0.8061  0.1497  0.7661
O  0.9067  0.7288  0.9616
O  0.9861  0.9070  0.5785
O  0.9867  0.6534  0.3810